{"formula": "MgZn2O3", "functional": "PBE", "state": "relaxed", "vol_a3_per_cell": 60.14, "formation_energy_ev_per_atom": -2.1159, "total_energy_ev_per_atom": -4.933, "lattice_angstrom": [[-2.667, -1.062, 1.037], [2.573, -1.553, 0.535], [0.963, 3.780, 6.349]], "species": ["Mg", "Zn", "Zn", "O", "O", "O"], "frac_coords": [[0.000, 0.000, 0.000], [0.333, 0.667, 0.668], [0.667, 0.333, 0.332], [0.333, 0.667, 0.161], [0.667, 0.333, 0.839], [0.000, 0.000, 0.500]]}